No. 1
NaMn3V4O12 PBE+U optimized geometry; mass density = 4.62 g/cm³; excess energy over the best structure of this formula in the dataset = 0.018 eV per atom
1.0
-3.7422 3.7700 -3.7416
3.7692 -3.7440 -3.7426
-3.7159 -3.7176 -3.7157
Na Mn V O
1 3 4 12
direct
0.0000 0.0000 0.0000 Na
0.5000 0.0000 0.5000 Mn
0.4999 0.5000 0.0000 Mn
0.0000 0.5000 0.5000 Mn
0.0000 0.0000 0.5000 V
0.0000 0.5000 0.0000 V
0.5000 0.5000 0.5000 V
0.5000 0.0000 0.0000 V
0.1188 0.8069 0.7000 O
0.4925 0.1863 0.6903 O
0.5075 0.8137 0.3097 O
0.8812 0.1931 0.3000 O
0.6879 0.8810 0.8190 O
0.6937 0.5075 0.1826 O
0.3063 0.4925 0.8174 O
0.3121 0.1191 0.1810 O
0.1933 0.3120 0.5070 O
0.8137 0.3061 0.8766 O
0.1863 0.6938 0.1234 O
0.8067 0.6880 0.4930 O

---

No. 2
Mo3NO9 PBE+U optimized geometry; mass density = 3.58 g/cm³; excess energy over the best structure of this formula in the dataset = 0.000 eV per atom
1.0
-4.9602 -10.1236 -0.0818
10.3129 1.1897 4.3962
-1.5169 0.7160 3.3648
Mo N O
6 2 18
direct
0.8927 0.3575 0.2500 Mo
0.4649 0.1074 0.2500 Mo
0.6425 0.5351 0.2500 Mo
0.1072 0.6428 0.7500 Mo
0.5356 0.8928 0.7500 Mo
0.3571 0.4643 0.7500 Mo
0.0000 0.0000 0.3974 N
0.0000 0.0000 0.1026 N
0.7225 0.2244 0.2500 O
0.5019 0.2775 0.2500 O
0.7756 0.4981 0.2500 O
0.2774 0.7756 0.7500 O
0.4981 0.7226 0.7500 O
0.2245 0.5019 0.7500 O
0.9820 0.2728 0.2500 O
0.2908 0.0180 0.2500 O
0.7272 0.7092 0.2499 O
0.0183 0.7280 0.7500 O
0.7097 0.9817 0.7500 O
0.2719 0.2902 0.7500 O
0.0765 0.5746 0.2500 O
0.4981 0.9234 0.2500 O
0.4254 0.5019 0.2500 O
0.9233 0.4256 0.7500 O
0.5024 0.0767 0.7500 O
0.5744 0.4977 0.7500 O

---

No. 3
EuCrSnBiO6 PBE+U optimized geometry; mass density = 8.07 g/cm³
1.0
0.0000 -4.0117 -4.0117
4.0117 0.0000 -4.0117
4.0117 -4.0117 0.0000
Eu Cr Sn Bi O
1 1 1 1 6
direct
0.2500 0.2500 0.2500 Eu
0.0000 0.0000 0.0000 Cr
0.5000 0.5000 0.5000 Sn
0.7500 0.7500 0.7500 Bi
0.7537 0.2463 0.2463 O
0.2463 0.7537 0.7537 O
0.7537 0.2463 0.7537 O
0.2463 0.7537 0.2463 O
0.7537 0.7537 0.2463 O
0.2463 0.2463 0.7537 O

---

| no. | energy of formation from the pure elements (eV per atom) |
| --- | --- |
| 1 | -2.29 |
| 2 | -1.72 |
| 3 | -2.16 |